1.
Below is crystalline NiH7C3NO6 at its relaxed geometry, with properties calculated at the r²SCAN level.

abc: 12.4708 12.4708 8.1121
angles: 90.00 90.00 120.00
Space group P6_3 (No. 173)
Asymmetric unit:
Ni 0.0032 0.3350 0.0000 x6
H 0.0000 0.0000 0.4233 x2
H 0.0260 0.0892 0.0880 x6
H 0.0623 0.5136 0.7181 x6
H 0.1295 0.2674 0.7384 x6
H 0.1855 0.3974 0.2760 x6
H 0.2443 0.6418 0.4123 x6
H 0.2698 0.5775 0.9124 x6
H 0.3333 0.6667 0.0773 x2
H 0.3333 0.6667 0.5771 x2
C 0.0371 0.5243 0.2378 x6
C 0.1461 0.2973 0.2611 x6
C 0.1822 0.8137 0.7457 x6
N 0.0000 0.0000 0.0486 x2
N 0.3333 0.6667 0.4517 x2
N 0.3333 0.6667 0.9520 x2
O 0.0623 0.8224 0.3594 x6
O 0.0703 0.2455 0.1435 x6
O 0.0873 0.5985 0.3576 x6
O 0.0954 0.4921 0.1422 x6
O 0.1519 0.7270 0.6440 x6
O 0.1600 0.4224 0.8579 x6

Computed properties:
E = -126.5 eV/f.u.


2.
Below is crystalline ZnH7C3NO6 at its relaxed geometry, with properties calculated at the r²SCAN level.

abc: 12.5222 12.5222 8.2679
angles: 90.00 90.00 120.00
Space group P6_3 (No. 173)
Asymmetric unit:
Zn 0.0043 0.3356 0.0000 x6
H 0.0000 0.0000 0.4271 x2
H 0.0270 0.0891 0.0892 x6
H 0.0562 0.5060 0.7100 x6
H 0.1277 0.2722 0.7288 x6
H 0.1768 0.3913 0.2865 x6
H 0.2447 0.6414 0.4108 x6
H 0.2711 0.5778 0.9112 x6
H 0.3333 0.6667 0.0732 x2
H 0.3333 0.6667 0.5730 x2
C 0.0419 0.5285 0.2339 x6
C 0.1419 0.2927 0.2661 x6
C 0.1849 0.8127 0.7418 x6
N 0.0000 0.0000 0.0501 x2
N 0.3333 0.6667 0.4500 x2
N 0.3333 0.6667 0.9503 x2
O 0.0610 0.8258 0.3607 x6
O 0.0705 0.2433 0.1464 x6
O 0.0900 0.5993 0.3546 x6
O 0.1001 0.4954 0.1418 x6
O 0.1536 0.7245 0.6447 x6
O 0.1623 0.4242 0.8555 x6

Computed properties:
E = -124.1 eV/f.u.


3.
Below is crystalline ZnH8C3N2O6 at its relaxed geometry, with properties calculated at the r²SCAN level.

abc: 8.607 7.713 11.433
angles: 90.00 90.00 90.00
Space group Pna2_1 (No. 33)
Asymmetric unit:
Zn 0.035 0.000 0.000 x4
H 0.040 0.077 0.247 x4
H 0.071 0.629 0.192 x4
H 0.072 0.411 0.166 x4
H 0.085 0.602 0.841 x4
H 0.102 0.390 0.828 x4
H 0.147 0.488 0.292 x4
H 0.160 0.686 0.495 x4
H 0.229 0.233 0.551 x4
C 0.036 0.935 0.250 x4
C 0.180 0.292 0.472 x4
C 0.235 0.778 0.543 x4
N 0.060 0.506 0.230 x4
N 0.093 0.503 0.782 x4
O 0.008 0.861 0.346 x4
O 0.059 0.228 0.428 x4
O 0.059 0.854 0.155 x4
O 0.128 0.230 0.069 x4
O 0.182 0.926 0.567 x4
O 0.250 0.422 0.428 x4

Computed properties:
E = -135.9 eV/f.u.


4.
Below is crystalline ZnH9C4NO6 at its relaxed geometry, with properties calculated at the r²SCAN level.

abc: 8.173 8.212 13.801
angles: 90.00 122.52 90.00
Space group P2_1/c (No. 14)
Asymmetric unit:
Zn 0.000 0.000 0.000 x2
Zn 0.500 0.000 0.500 x2
H 0.110 0.086 0.767 x4
H 0.149 0.646 0.168 x4
H 0.159 0.147 0.662 x4
H 0.179 0.511 0.756 x4
H 0.262 0.723 0.041 x4
H 0.314 0.647 0.311 x4
H 0.322 0.205 0.032 x4
H 0.348 0.149 0.810 x4
H 0.376 0.583 0.218 x4
C 0.196 0.219 0.473 x4
C 0.218 0.087 0.744 x4
C 0.253 0.716 0.467 x4
C 0.303 0.012 0.248 x4
N 0.268 0.584 0.235 x4
O 0.029 0.229 0.943 x4
O 0.134 0.601 0.419 x4
O 0.223 0.087 0.437 x4
O 0.277 0.017 0.149 x4
O 0.365 0.733 0.937 x4
O 0.468 0.034 0.339 x4

Computed properties:
E = -141.3 eV/f.u.


Ordered calculated formation energy results: -0.86, -0.90, -0.77, -0.79; unit eV/atom.